Ca2Al2SiO7 | PBE | relaxed

Cell and atoms, written as extended XYZ:
```
48
Lattice="6.779 0.000 0.000 0.000 7.483 0.000 0.000 0.000 13.218" Properties=species:S:1:pos:R:3 pbc="T T T"
Ca 0.538 4.921 0.382
Ca 4.537 2.764 0.470
Ca 1.147 0.977 12.748
Ca 3.928 6.303 12.836
Ca 5.632 4.719 7.079
Ca 2.851 2.562 6.991
Ca 6.241 1.179 6.227
Ca 2.243 6.505 6.139
Al 5.152 0.915 9.888
Al 1.627 4.657 9.939
Al 3.924 1.167 4.649
Al 0.534 2.575 8.569
Al 5.017 6.568 3.279
Al 1.763 2.826 3.330
Al 6.245 6.316 11.258
Al 2.855 4.908 1.960
Si 0.868 7.133 8.583
Si 4.258 4.091 4.635
Si 2.521 0.350 1.974
Si 5.911 3.391 11.244
O 1.943 6.466 1.309
O 4.797 2.218 11.052
O 3.457 0.895 0.735
O 1.173 5.533 11.397
O 2.871 4.128 0.384
O 6.605 3.866 9.801
O 4.610 6.868 10.534
O 3.215 7.359 3.417
O 1.220 4.356 2.684
O 6.261 7.097 12.834
O 1.408 1.523 2.166
O 0.068 2.847 12.483
O 4.563 5.692 1.821
O 5.333 4.758 11.910
O 1.447 1.017 7.918
O 5.372 5.264 4.443
O 0.518 3.355 6.993
O 2.217 1.950 4.788
O 6.712 6.588 7.344
O 5.559 0.615 3.925
O 3.564 3.617 3.192
O 2.169 3.127 9.293
O 0.175 0.124 10.026
O 5.606 1.791 8.430
O 3.322 4.636 5.874
O 1.982 5.960 8.775
O 3.908 0.386 6.225
O 4.837 2.724 5.301
```

**Calculated total energy**: -84.61 eV/f.u.